First-principles (PBE) data for a relaxed structure of Mg6Si5, as listed in Materials Project.

Cell lengths 4.6793, 6.7027, 14.3449 Å; angles 98.66, 92.17, 96.88 degrees
Space group P1 (No. 1)
Symmetry-distinct sites (fractional):
Mg (0.0000, 0.0000, 0.0000)
Mg (0.0035, 0.5129, 0.9912)
Mg (0.3928, 0.8631, 0.4837)
Mg (0.4160, 0.2353, 0.8822)
Mg (0.4808, 0.3018, 0.1039)
Mg (0.5175, 0.7122, 0.8964)
Mg (0.5875, 0.7732, 0.1210)
Mg (0.8498, 0.5280, 0.3711)
Mg (0.8668, 0.7197, 0.6084)
Mg (0.9272, 0.9908, 0.3547)
Mg (0.9441, 0.1884, 0.5633)
Mg (0.9730, 0.4538, 0.7758)
Si (0.0314, 0.5217, 0.1775)
Si (0.2223, 0.8566, 0.7683)
Si (0.3400, 0.4961, 0.5237)
Si (0.3632, 0.7374, 0.2939)
Si (0.4157, 0.0968, 0.2550)
Si (0.4573, 0.4039, 0.6798)
Si (0.4823, 0.2183, 0.4223)
Si (0.4929, 0.0430, 0.6656)
Si (0.8160, 0.0211, 0.8049)
Si (0.9498, 0.1603, 0.1935)

Results
DFT total energy ... -3.231 eV/atom
Total magnetization ... 0.0 μB/cell
Energy of formation ... 0.140 eV/atom